Compound: Na9Nb7Zn5Si9S9O72
Source: the Materials Project database
Functional: PBE
Structure: relaxed

Geometry as POSCAR:
```
Na9Nb7Zn5Si9S9O72
1.0
8.935 0.000 0.000
4.466 7.748 0.000
0.216 0.003 22.681
Na Nb Zn Si S O
9 7 5 9 9 72
direct
0.000 0.000 0.000
0.005 0.999 0.502
0.036 0.305 0.912
0.323 0.338 0.329
0.336 0.340 0.837
0.647 0.363 0.745
0.669 0.653 0.171
0.680 0.656 0.665
0.975 0.689 0.085
0.002 0.994 0.848
0.011 0.979 0.348
0.320 0.331 0.181
0.337 0.308 0.679
0.339 0.317 0.471
0.658 0.639 0.514
0.688 0.639 0.010
0.003 0.019 0.633
0.331 0.328 0.973
0.692 0.627 0.811
0.695 0.631 0.309
0.999 0.997 0.144
0.049 0.304 0.072
0.344 0.018 0.573
0.390 0.647 0.403
0.630 0.309 0.577
0.656 0.361 0.904
0.960 0.366 0.406
0.969 0.654 0.906
0.983 0.712 0.237
0.998 0.287 0.740
0.047 0.607 0.575
0.288 0.700 0.739
0.295 0.988 0.241
0.343 0.610 0.075
0.385 0.934 0.906
0.621 0.029 0.074
0.671 0.943 0.408
0.707 0.279 0.240
0.715 0.985 0.741
0.015 0.148 0.084
0.018 0.811 0.294
0.030 0.162 0.801
0.034 0.773 0.581
0.135 0.492 0.628
0.149 0.294 0.013
0.149 0.345 0.129
0.149 0.521 0.521
0.152 0.486 0.915
0.158 0.326 0.422
0.175 0.511 0.232
0.180 0.299 0.736
0.181 0.786 0.795
0.182 0.021 0.295
0.184 0.989 0.576
0.189 0.781 0.081
0.190 0.823 0.398
0.199 0.794 0.687
0.205 0.947 0.905
0.213 0.974 0.188
0.308 0.154 0.237
0.310 0.519 0.739
0.321 0.526 0.024
0.326 0.147 0.519
0.350 0.112 0.911
0.352 0.487 0.416
0.360 0.126 0.632
0.367 0.500 0.130
0.461 0.681 0.744
0.466 0.831 0.961
0.467 0.844 0.248
0.470 0.682 0.465
0.481 0.852 0.853
0.501 0.625 0.347
0.502 0.626 0.072
0.509 0.347 0.637
0.511 0.317 0.521
0.512 0.314 0.920
0.521 0.118 0.129
0.521 0.125 0.415
0.532 0.840 0.568
0.533 0.283 0.236
0.540 0.128 0.021
0.542 0.161 0.739
0.629 0.462 0.844
0.629 0.854 0.073
0.641 0.876 0.354
0.643 0.489 0.570
0.672 0.456 0.245
0.672 0.851 0.751
0.696 0.840 0.461
0.698 0.466 0.961
0.792 0.173 0.294
0.801 0.992 0.077
0.802 0.015 0.794
0.807 0.200 0.187
0.810 0.137 0.576
0.815 0.960 0.688
0.826 0.678 0.245
0.829 0.966 0.403
0.832 0.478 0.744
0.835 0.463 0.465
0.843 0.687 0.969
0.852 0.177 0.902
0.856 0.498 0.070
0.873 0.625 0.853
0.876 0.617 0.572
0.906 0.476 0.348
0.962 0.192 0.688
0.972 0.174 0.398
0.980 0.833 0.900
0.986 0.802 0.176
```

Results
E_tot   -753.73 eV for the cell shown
Formation enthalpy at 0 K   -2.45 eV/atom
Calculated volume   1570.1 Å³/f.u.
MP2020-corrected energy   -7.24 eV per atom

---

Compound: Na18Nb16Zn8Si21S15O144
Source: the Materials Project database
Functional: PBE
Structure: relaxed

Geometry as POSCAR:
```
Na18Nb16Zn8Si21S15O144
1.0
8.963 0.000 0.000
-0.026 15.466 0.000
-0.036 -0.191 22.842
Na Nb Zn Si S O
18 16 8 21 15 144
direct
0.000 0.000 0.000
0.000 0.325 0.161
0.002 0.676 0.332
0.006 0.000 0.505
0.138 0.503 0.250
0.199 0.828 0.251
0.303 0.326 0.749
0.368 0.000 0.751
0.496 0.500 0.002
0.503 0.172 0.829
0.503 0.500 0.505
0.506 0.836 0.164
0.507 0.165 0.330
0.509 0.834 0.667
0.700 0.325 0.250
0.798 0.833 0.747
0.995 0.668 0.828
0.996 0.334 0.666
0.003 0.351 0.515
0.003 0.676 0.473
0.004 0.677 0.971
0.015 0.674 0.178
0.488 0.170 0.681
0.490 0.508 0.351
0.499 0.852 0.013
0.500 0.177 0.473
0.502 0.176 0.972
0.502 0.852 0.515
0.512 0.507 0.849
0.518 0.168 0.179
0.983 0.670 0.680
0.989 0.008 0.350
0.998 0.010 0.847
0.999 0.351 0.014
0.013 0.339 0.812
0.488 0.840 0.313
0.491 0.509 0.134
0.512 0.507 0.635
0.524 0.846 0.809
0.989 0.334 0.315
0.990 0.010 0.135
0.998 0.009 0.638
0.129 0.156 0.740
0.136 0.486 0.404
0.151 0.824 0.075
0.152 0.530 0.074
0.213 0.840 0.406
0.289 0.341 0.906
0.344 0.031 0.575
0.353 0.987 0.904
0.356 0.322 0.578
0.371 0.655 0.239
0.630 0.652 0.739
0.637 0.986 0.406
0.649 0.322 0.076
0.655 0.029 0.073
0.711 0.340 0.407
0.715 0.008 0.738
0.792 0.841 0.907
0.848 0.530 0.573
0.853 0.822 0.576
0.864 0.485 0.905
0.871 0.154 0.239
0.147 0.195 0.409
0.147 0.859 0.742
0.214 0.510 0.741
0.215 0.175 0.076
0.288 0.010 0.241
0.288 0.676 0.576
0.355 0.360 0.243
0.357 0.696 0.908
0.647 0.696 0.408
0.649 0.363 0.742
0.715 0.675 0.075
0.788 0.511 0.241
0.789 0.176 0.575
0.853 0.861 0.242
0.856 0.196 0.910
0.064 0.435 0.071
0.068 0.772 0.738
0.072 0.900 0.796
0.073 0.575 0.135
0.073 0.583 0.417
0.076 0.255 0.746
0.078 0.769 0.021
0.080 0.105 0.403
0.080 0.107 0.682
0.080 0.446 0.344
0.081 0.234 0.461
0.082 0.917 0.083
0.094 0.589 0.021
0.096 0.760 0.420
0.108 0.929 0.399
0.111 0.423 0.463
0.111 0.437 0.746
0.112 0.092 0.800
0.112 0.759 0.134
0.122 0.255 0.070
0.123 0.594 0.737
0.124 0.910 0.690
0.126 0.097 0.078
0.128 0.244 0.355
0.171 0.021 0.577
0.171 0.320 0.566
0.171 0.998 0.903
0.173 0.660 0.236
0.174 0.352 0.964
0.191 0.669 0.522
0.191 0.682 0.916
0.193 0.689 0.628
0.194 0.351 0.250
0.195 0.020 0.295
0.196 0.997 0.189
0.213 0.319 0.846
0.288 0.818 0.345
0.305 0.497 0.689
0.306 0.846 0.752
0.308 0.520 0.795
0.312 0.169 0.022
0.312 0.182 0.416
0.312 0.188 0.129
0.324 0.495 0.401
0.327 0.163 0.737
0.327 0.521 0.074
0.328 0.852 0.463
0.334 0.819 0.067
0.377 0.597 0.577
0.378 0.746 0.856
0.380 0.094 0.237
0.382 0.755 0.569
0.385 0.412 0.191
0.389 0.925 0.964
0.392 0.937 0.246
0.394 0.260 0.635
0.394 0.430 0.901
0.394 0.591 0.299
0.405 0.090 0.520
0.405 0.261 0.921
0.420 0.417 0.582
0.421 0.949 0.846
0.422 0.734 0.962
0.422 0.754 0.245
0.423 0.606 0.904
0.425 0.603 0.184
0.426 0.083 0.919
0.426 0.268 0.521
0.427 0.074 0.635
0.428 0.402 0.297
0.431 0.273 0.240
0.434 0.936 0.570
0.566 0.935 0.070
0.567 0.277 0.740
0.573 0.944 0.348
0.574 0.074 0.133
0.574 0.603 0.683
0.575 0.083 0.419
0.576 0.405 0.796
0.577 0.269 0.021
0.579 0.751 0.746
0.580 0.605 0.403
0.581 0.734 0.461
0.582 0.416 0.083
0.591 0.932 0.744
0.595 0.260 0.420
0.596 0.089 0.020
0.604 0.590 0.799
0.607 0.430 0.399
0.610 0.258 0.135
0.614 0.101 0.735
0.614 0.925 0.466
0.617 0.412 0.690
0.622 0.755 0.071
0.625 0.744 0.355
0.627 0.597 0.078
0.669 0.819 0.567
0.674 0.521 0.573
0.675 0.162 0.236
0.676 0.851 0.964
0.677 0.496 0.902
0.690 0.183 0.917
0.691 0.170 0.521
0.694 0.190 0.628
0.694 0.848 0.250
0.696 0.497 0.189
0.696 0.519 0.295
0.714 0.817 0.847
0.788 0.320 0.345
0.808 0.350 0.751
0.812 0.668 0.022
0.812 0.681 0.415
0.813 0.688 0.129
0.819 0.983 0.685
0.824 0.019 0.799
0.825 0.996 0.401
0.826 0.352 0.463
0.827 0.660 0.735
0.829 0.020 0.073
0.832 0.319 0.068
0.876 0.244 0.856
0.879 0.099 0.576
0.882 0.256 0.568
0.883 0.593 0.238
0.887 0.425 0.966
0.887 0.910 0.190
0.892 0.758 0.634
0.895 0.437 0.245
0.897 0.929 0.903
0.900 0.092 0.299
0.905 0.759 0.922
0.908 0.588 0.519
0.919 0.238 0.963
0.922 0.765 0.520
0.923 0.254 0.246
0.926 0.108 0.906
0.926 0.914 0.577
0.927 0.583 0.919
0.928 0.902 0.296
0.930 0.107 0.183
0.930 0.443 0.848
0.930 0.575 0.633
0.933 0.773 0.239
0.938 0.435 0.570
```

Results
E_tot   -1550.59 eV for the cell shown
Formation enthalpy at 0 K   -2.55 eV/atom
Calculated volume   3166.6 Å³/f.u.
MP2020-corrected energy   -7.43 eV per atom

---

Compound: Na7NbZn3Si3S3O24
Source: the Materials Project database
Functional: PBE
Structure: relaxed

Geometry as POSCAR:
```
Na7NbZn3Si3S3O24
1.0
9.126 0.000 0.000
4.529 7.966 0.000
0.068 0.272 22.251
Na Nb Zn Si S O
21 3 9 9 9 72
direct
0.000 0.000 0.000
0.001 0.370 0.499
0.027 0.650 0.100
0.034 0.674 0.594
0.038 0.294 0.852
0.048 0.010 0.341
0.072 0.943 0.676
0.335 0.334 0.670
0.356 0.371 0.010
0.360 0.626 0.504
0.371 0.993 0.268
0.374 0.980 0.758
0.380 0.297 0.341
0.385 0.689 0.837
0.670 0.688 0.341
0.682 0.001 0.842
0.696 0.711 0.681
0.701 0.325 0.427
0.720 0.329 0.928
0.745 0.990 0.504
0.755 0.611 0.009
0.363 0.004 0.116
0.695 0.347 0.280
0.697 0.330 0.775
0.015 0.663 0.249
0.015 0.663 0.934
0.015 0.695 0.742
0.028 0.667 0.414
0.354 0.991 0.905
0.366 0.992 0.400
0.384 0.980 0.612
0.681 0.331 0.584
0.729 0.336 0.080
0.034 0.958 0.842
0.039 0.366 0.342
0.074 0.292 0.004
0.318 0.667 0.340
0.395 0.628 0.670
0.699 0.032 0.669
0.710 0.628 0.170
0.736 0.662 0.841
0.736 0.961 0.342
0.074 0.000 0.510
0.332 0.368 0.840
0.366 0.289 0.509
0.367 0.703 0.009
0.411 0.330 0.170
0.655 0.000 0.008
0.667 0.696 0.509
0.993 0.329 0.672
0.995 0.032 0.172
0.016 0.475 0.679
0.026 0.864 0.177
0.055 0.848 0.510
0.066 0.475 0.006
0.074 0.844 0.782
0.089 0.442 0.286
0.156 0.171 0.672
0.160 0.011 0.455
0.163 0.178 0.946
0.170 0.024 0.167
0.173 0.988 0.565
0.186 0.172 0.349
0.192 0.994 0.844
0.195 0.703 0.284
0.204 0.176 0.062
0.207 0.698 0.007
0.214 0.459 0.509
0.217 0.633 0.679
0.231 0.446 0.786
0.245 0.471 0.173
0.261 0.470 0.895
0.263 0.612 0.403
0.353 0.815 0.061
0.354 0.203 0.565
0.363 0.194 0.846
0.367 0.815 0.346
0.379 0.191 0.455
0.384 0.812 0.674
0.397 0.165 0.167
0.398 0.773 0.953
0.480 0.522 0.610
0.501 0.332 0.114
0.507 0.355 0.835
0.511 0.529 0.015
0.513 0.489 0.330
0.517 0.301 0.224
0.519 0.035 0.673
0.523 0.305 0.509
0.525 0.818 0.164
0.531 0.517 0.728
0.542 0.002 0.350
0.549 0.829 0.847
0.560 0.018 0.952
0.560 0.982 0.061
0.564 0.779 0.455
0.583 0.794 0.564
0.669 0.154 0.014
0.678 0.523 0.227
0.684 0.160 0.728
0.687 0.522 0.512
0.711 0.491 0.831
0.716 0.536 0.108
0.721 0.150 0.326
0.741 0.111 0.611
0.813 0.833 0.288
0.822 0.687 0.781
0.823 0.848 0.010
0.836 0.682 0.507
0.852 0.607 0.901
0.852 0.903 0.403
0.857 0.150 0.833
0.860 0.845 0.675
0.861 0.350 0.330
0.868 0.654 0.178
0.888 0.303 0.010
0.890 0.354 0.618
0.901 0.111 0.115
0.902 0.310 0.727
0.904 0.156 0.510
0.914 0.141 0.224
0.979 0.483 0.402
0.992 0.880 0.902
```

Results
E_tot   -747.33 eV for the cell shown
Formation enthalpy at 0 K   -2.32 eV/atom
Calculated volume   539.2 Å³/f.u.
MP2020-corrected energy   -6.48 eV per atom